(1)
10
Lattice="0.000 5.340 5.340 5.340 0.000 5.340 5.340 5.340 0.000" Properties=species:S:1:pos:R:3 comment="Cs2InAgCl6 | the Materials Project | GGA-PBE | relaxed" e_form_ev_per_atom=-1.743 crystal_system=cubic pbc="T T T"
In 0.000 0.000 0.000
Cl 8.110 5.340 5.340
Cl 5.340 2.570 5.340
Cs 8.010 8.010 8.010
Cl 5.340 8.110 5.340
Ag 5.340 5.340 5.340
Cl 5.340 5.340 2.570
Cs 2.670 2.670 2.670
Cl 2.570 5.340 5.340
Cl 5.340 5.340 8.110

***

(2)
10
Lattice="0.000 5.552 5.552 5.552 0.000 5.552 5.552 5.552 0.000" Properties=species:S:1:pos:R:3 comment="Cs2LaAgCl6 | the Materials Project | GGA-PBE | relaxed" e_form_ev_per_atom=-2.233 crystal_system=cubic pbc="T T T"
Cl 5.552 8.328 5.552
Ag 5.552 5.552 5.552
Cs 2.776 2.776 2.776
Cl 5.552 5.552 2.776
Cl 5.552 5.552 8.328
Cl 5.552 2.776 5.552
Cs 8.328 8.328 8.328
Cl 8.328 5.552 5.552
La 0.000 0.000 0.000
Cl 2.776 5.552 5.552

***

(3)
10
Lattice="5.197 -5.303 0.540 -1.765 -6.671 2.793 -0.276 -5.950 -4.465" Properties=species:S:1:pos:R:3 comment="Cs2AgMoCl6 | the Materials Project | GGA-PBE | relaxed" e_form_ev_per_atom=-1.624 crystal_system=cubic pbc="T T T"
Cl 2.558 -10.555 1.496
Ag 1.578 -8.962 -0.566
Cs 2.367 -13.443 -0.849
Cl 3.346 -10.174 -2.342
Cs 0.789 -4.481 -0.283
Cl -0.336 -10.897 -1.151
Cl 3.491 -7.027 0.019
Mo 0.000 0.000 0.000
Cl -0.190 -7.751 1.210
Cl 0.598 -7.370 -2.628

***

(4)
10
Lattice="3.556 -6.494 -2.461 -2.310 -3.448 -6.606 4.574 0.211 -6.317" Properties=species:S:1:pos:R:3 comment="Cs2NdAgCl6 | the Materials Project | GGA-PBE | relaxed" e_form_ev_per_atom=-2.197 crystal_system=cubic pbc="T T T"
Ag 0.000 0.000 0.000
Nd 2.910 -4.865 -7.692
Cl 3.230 -5.674 -5.096
Cs 1.455 -2.433 -3.846
Cl 2.589 -4.057 -10.288
Cl 3.736 -2.346 -7.010
Cl 0.320 -4.162 -7.153
Cl 5.500 -5.569 -8.231
Cl 2.084 -7.384 -8.375
Cs 4.365 -7.298 -11.538

***

(5)
218
Lattice="-2.251 15.261 -1.447 -11.587 -2.651 -9.939 -10.037 -0.362 11.798" Properties=species:S:1:pos:R:3 comment="KCu24Ag9H48Pb26Cl62O48 | the Materials Project | GGA-PBE | relaxed" e_form_ev_per_atom=-1.066 crystal_system=cubic pbc="T T T"
O -9.170 -0.804 5.790
Cl -3.997 7.230 -0.476
Cl -12.967 11.642 -2.826
Pb -15.137 5.391 -2.539
O -7.288 11.531 -2.058
Cl -3.850 -0.881 -3.302
Cl -16.450 11.594 4.007
Cl -8.613 0.688 0.542
H -8.389 -0.634 6.371
Cu -11.401 -0.629 -4.508
Cl -15.576 5.616 0.519
H -2.241 5.061 1.263
Ag -1.126 7.630 -0.723
H -11.367 7.887 -9.428
Cu -4.237 3.566 1.716
H -3.213 9.753 -2.434
O -9.506 2.098 6.025
Pb -9.524 5.709 -7.927
Cu -5.749 0.664 0.340
O -3.960 9.651 -3.073
Cl -8.439 5.342 5.484
O -9.528 10.255 -7.791
Pb -6.413 2.874 -5.367
O -9.418 9.927 8.331
H -8.656 1.870 5.570
Pb -12.683 8.668 -4.341
Cl -17.730 6.822 -2.375
O -7.097 11.813 0.625
H -5.025 9.156 -0.606
Cu -11.239 9.346 -7.359
Pb -13.417 -2.103 -1.305
Cl -9.869 3.616 -1.536
Pb -12.075 9.566 4.186
H -12.753 7.387 -7.234
Cl -19.878 5.017 0.889
Cl -12.506 5.283 -7.776
H -5.370 -0.942 -1.583
Cu -19.637 8.681 -1.303
H -7.491 12.145 1.471
Cl -8.298 6.631 -0.107
O -11.700 10.521 -5.842
O -12.174 1.726 6.255
Cl -13.379 11.042 -8.584
Cl -11.676 6.509 3.864
H -5.990 1.967 2.436
Cl -1.503 10.190 -0.966
Cu -10.232 10.834 6.765
H -13.717 0.198 -4.193
Cu -5.586 10.640 -2.511
O -5.958 -0.954 -0.789
Cl -7.737 -1.770 -6.636
Cl -16.806 3.939 3.704
O -5.774 -0.681 1.798
Pb -7.425 9.736 -6.018
H -10.625 2.856 -8.951
Ag -0.349 2.364 -0.224
Cl -12.198 5.738 -3.452
Cu -14.741 8.858 -7.058
O -11.995 2.500 -6.339
Cu -4.488 3.195 -1.805
H -16.383 0.102 -1.059
O -7.193 2.989 7.589
O -10.287 0.944 -4.934
Cl -9.078 11.861 -4.657
O -11.744 -1.163 6.012
H -2.984 10.092 0.786
Cl -11.671 -0.531 -7.487
H -4.217 1.372 -3.545
Pb -3.887 7.531 2.523
O -18.294 2.272 1.065
O -12.956 0.572 -4.705
Pb -9.165 6.224 -3.052
O -17.999 10.294 1.562
Cl -17.320 7.428 3.373
O -5.875 1.953 -1.150
H -8.037 0.498 -6.822
H -14.496 11.444 4.978
Cl -3.335 -0.120 3.920
O -3.632 10.136 1.530
H -10.880 10.981 -5.530
O -9.878 2.958 -8.312
Ag -1.903 12.897 -1.222
H -18.849 3.092 1.018
H -6.301 1.507 -1.926
Cl -8.509 12.701 3.325
H -9.190 -1.816 -4.860
Ag -5.793 -1.326 -4.969
Cl -6.144 5.425 2.787
Cl -6.554 4.819 -2.960
H -17.574 10.740 2.338
O -11.022 3.936 7.303
H -9.378 0.803 -4.566
O -10.919 11.675 5.117
Cl -0.748 5.071 -0.481
Pb -14.709 6.023 3.465
Cl -12.203 12.778 7.900
Cl -13.508 3.109 -1.223
Pb -5.638 4.018 5.501
Cl -12.613 12.165 2.143
Cl -2.885 1.480 0.050
Cu -13.643 1.413 -6.353
Pb -6.650 10.880 4.850
O -14.369 10.149 -5.613
Cl -10.318 12.248 -0.554
O -9.879 -1.851 -4.153
O -15.849 -2.332 0.061
O -8.491 11.787 6.755
Pb -8.137 9.708 -0.442
Cu -10.140 1.902 -6.654
Pb -4.314 6.901 -3.458
Pb -11.800 2.681 -3.774
O -2.870 4.971 2.020
Cl -14.266 8.246 -1.710
H -10.047 9.837 9.088
Cl -10.366 9.138 1.635
O -3.797 3.112 3.596
O -4.310 2.355 -3.594
Cl -7.069 8.308 -3.291
Cu -12.473 12.876 4.921
K -11.937 6.124 0.206
O -11.880 9.747 6.752
O -3.198 4.487 -2.583
Cl -10.907 0.605 3.239
Cl -14.921 3.416 -4.741
Cl -10.627 8.753 -2.023
H -8.591 12.759 6.611
Cl -7.425 0.653 -3.595
Cl -9.203 4.213 -5.233
Cl -15.365 -0.454 -2.912
Pb -11.315 1.909 0.606
H -19.447 7.146 0.634
Cl -14.157 4.545 5.976
H -9.304 4.806 9.565
H -7.802 11.686 -2.890
H -11.719 8.914 7.263
Cl -14.671 8.034 5.645
H -11.121 4.860 7.647
O -19.151 8.083 0.514
Cl -6.856 1.493 4.387
H -16.543 -2.499 -0.623
O -18.191 10.011 -1.120
O -13.587 11.304 5.347
O -5.684 2.236 1.533
H -4.427 5.102 -0.222
O -8.656 4.763 8.821
Cl -14.005 8.631 1.948
O -5.580 9.975 -0.653
H -12.155 3.333 -6.850
H -9.621 11.237 -7.840
H -5.282 12.878 2.722
O -8.230 1.457 -6.957
Cu -13.734 10.345 7.066
Pb -8.207 -0.911 3.164
Cu -7.577 13.053 -0.834
Cl -17.019 10.754 -3.974
Cl -20.990 10.767 0.363
Pb -15.737 2.539 0.855
Pb -8.555 -1.425 -1.723
Cl -13.247 3.494 2.435
Cl -11.368 6.964 8.188
O -15.665 -2.060 2.648
Cu -9.133 3.389 7.471
H -5.801 12.111 -4.563
Ag -1.555 -0.056 1.828
Cl -19.283 -0.806 1.460
Cl -6.659 8.914 2.456
Pb -16.621 8.526 0.287
Ag -8.482 -0.306 9.970
Cu -12.636 2.901 7.772
H -13.234 -2.380 -4.512
H -7.006 2.020 7.629
O -12.852 8.311 -6.890
H -12.995 1.266 5.943
H -2.471 4.722 -1.957
H -10.157 12.049 4.605
O -5.095 11.909 2.762
Cu -19.386 9.052 2.218
Cl -17.215 3.333 -2.044
H -16.253 -2.071 3.442
Cl -9.718 7.702 -5.563
Cu -5.335 11.010 1.010
O -16.586 0.716 2.470
H -15.219 10.377 -5.157
Cu -18.539 1.237 -0.597
Pb -7.254 3.721 0.125
Cu -18.288 1.608 2.924
Cl -15.436 6.905 -5.072
Cu -18.125 11.583 0.073
H -12.433 -1.197 6.719
Pb -11.192 3.579 4.754
Pb -8.401 7.368 7.828
Cl -9.609 4.001 2.122
Cu -10.645 0.488 6.095
H -17.885 10.280 -2.023
Cu -16.298 -0.806 1.247
H -3.698 2.139 3.740
Ag -9.792 -2.241 -8.399
Pb -8.737 6.856 2.951
Pb -12.559 10.338 -0.193
Cl -8.954 8.831 5.154
H -5.081 -0.514 2.482
Ag -5.018 -0.181 5.899
Cl -11.262 0.082 -1.731
Cl -13.556 -0.001 0.967
O -5.607 11.152 -4.428
Ag -1.795 -0.411 -1.540
Cl -6.702 -0.242 7.878
Cl -4.592 13.053 -1.047
Cl -14.796 0.387 5.070
Pb -13.068 -1.588 3.582
Cl -10.496 1.205 8.997
H -16.072 0.561 3.303
Cl -15.262 11.559 -0.129
O -16.778 0.434 -0.212
O -12.453 -2.210 -3.931
O -4.723 4.164 -0.102
Cu -13.229 11.760 -5.683
O -10.639 8.123 -8.802

***

(6)
169
Lattice="15.022 0.000 0.000 0.000 15.022 0.000 0.000 0.000 15.022" Properties=species:S:1:pos:R:3 comment="Cu24Ag9Pb26Cl62O48 | the Materials Project | GGA-PBE | relaxed" e_form_ev_per_atom=-0.770 crystal_system=cubic pbc="T T T"
Pb 7.511 3.430 7.511
O 0.000 10.259 3.194
Pb 4.499 4.499 10.523
Cl 13.129 7.511 13.129
Cl 1.893 13.129 7.511
O 4.763 0.000 3.194
Cu 1.472 3.754 11.267
O 3.194 0.000 10.259
Cl 13.172 9.251 9.251
O 0.000 10.259 11.828
Pb 7.511 11.591 7.511
Pb 3.430 7.511 7.511
O 11.828 10.259 0.000
Pb 7.511 11.000 0.000
O 10.259 0.000 11.828
O 3.194 0.000 4.763
O 10.361 12.220 2.802
O 10.361 12.220 12.220
O 2.802 4.660 12.220
O 10.361 2.802 2.802
Pb 11.591 7.511 7.511
Ag 2.562 0.000 0.000
Cl 10.174 7.511 4.848
Pb 7.511 4.021 0.000
Pb 11.000 7.511 0.000
O 10.259 11.828 0.000
O 12.220 2.802 10.361
Cl 9.251 1.849 9.251
Pb 10.523 10.523 4.499
Cl 1.770 13.251 1.770
Cl 5.771 1.849 9.251
Cu 1.472 11.267 3.754
O 2.802 10.361 2.802
Cl 1.770 1.770 1.770
Cu 13.549 3.754 11.267
Cl 13.129 13.129 7.511
Cl 4.848 10.174 7.511
O 10.259 3.194 0.000
Cu 3.754 3.754 13.549
O 2.802 2.802 4.660
Cl 1.849 5.771 5.771
O 4.660 2.802 2.802
Cu 13.549 11.267 3.754
Cu 11.267 3.754 13.549
Cl 1.770 1.770 13.251
Cu 13.549 3.754 3.754
Cl 7.511 13.129 13.129
Cu 11.267 11.267 13.549
Pb 0.000 7.511 11.000
Pb 10.523 4.499 10.523
O 11.828 0.000 4.763
O 2.802 2.802 10.361
O 12.220 10.361 12.220
O 4.660 2.802 12.220
Cu 3.754 3.754 1.472
Cl 1.849 9.251 5.771
Cu 11.267 1.472 11.267
O 2.802 12.220 4.660
O 10.259 0.000 3.194
Cl 1.849 9.251 9.251
Cl 9.251 9.251 13.172
Pb 7.511 0.000 4.021
Cl 9.251 1.849 5.771
Cl 4.848 4.848 7.511
Cl 13.251 1.770 13.251
O 0.000 3.194 4.763
O 3.194 10.259 0.000
O 0.000 11.828 4.763
Cu 13.549 11.267 11.267
O 0.000 3.194 10.259
O 2.802 10.361 12.220
O 0.000 4.763 3.194
O 10.361 2.802 12.220
Cu 11.267 1.472 3.754
Cl 13.251 13.251 1.770
Cl 9.251 5.771 13.172
Ag 7.511 0.000 0.000
Cu 3.754 11.267 13.549
O 12.220 4.660 2.802
Cl 9.251 9.251 1.849
Pb 4.499 10.523 4.499
Pb 0.000 4.021 7.511
Cl 4.848 7.511 10.174
Cl 13.251 1.770 1.770
Cl 5.029 0.000 0.000
O 0.000 4.763 11.828
O 11.828 0.000 10.259
Cl 7.511 13.129 1.893
Cl 5.771 5.771 1.849
Cl 9.251 13.172 9.251
O 2.802 12.220 10.361
Pb 4.499 10.523 10.523
O 11.828 4.763 0.000
Cu 3.754 1.472 3.754
Cl 10.174 10.174 7.511
Cu 11.267 13.549 11.267
Cu 1.472 3.754 3.754
Cl 13.172 5.771 5.771
Cl 5.771 1.849 5.771
Ag 0.000 0.000 2.562
Cl 7.511 10.174 4.848
Cl 5.771 5.771 13.172
Cl 0.000 0.000 5.029
Cl 4.848 7.511 4.848
Cu 11.267 13.549 3.754
Cl 1.770 13.251 13.251
Pb 0.000 11.000 7.511
Cu 11.267 11.267 1.472
Pb 10.523 10.523 10.523
Cl 1.893 7.511 1.893
Cl 5.771 9.251 1.849
Pb 11.000 0.000 7.511
Cl 0.000 5.029 0.000
Ag 0.000 12.460 0.000
O 2.802 4.660 2.802
Cl 7.511 10.174 10.174
Cl 13.172 5.771 9.251
Cl 5.771 13.172 5.771
Cl 9.251 5.771 1.849
O 4.660 12.220 12.220
O 4.763 3.194 0.000
Cl 13.129 7.511 1.893
Pb 10.523 4.499 4.499
Pb 0.000 7.511 4.021
Cl 9.993 0.000 0.000
Cl 13.129 1.893 7.511
Cu 11.267 3.754 1.472
Ag 12.460 0.000 0.000
Ag 0.000 2.562 0.000
Cl 1.849 5.771 9.251
O 12.220 12.220 10.361
Cl 13.251 13.251 13.251
Pb 4.499 4.499 4.499
Cl 0.000 9.993 0.000
O 12.220 4.660 12.220
Cl 10.174 7.511 10.174
Cl 7.511 1.893 1.893
Pb 7.511 7.511 11.591
Ag 0.000 7.511 0.000
O 0.000 11.828 10.259
Cl 5.771 13.172 9.251
Cl 10.174 4.848 7.511
Cl 9.251 13.172 5.771
Cu 3.754 11.267 1.472
Cu 1.472 11.267 11.267
Cl 13.172 9.251 5.771
O 3.194 4.763 0.000
Cl 7.511 4.848 10.174
Ag 0.000 0.000 12.460
Cl 0.000 0.000 9.993
O 4.763 11.828 0.000
Cu 3.754 13.549 11.267
Pb 7.511 7.511 3.430
Pb 4.021 7.511 0.000
O 12.220 10.361 2.802
Pb 4.021 0.000 7.511
O 12.220 2.802 4.660
Cl 5.771 9.251 13.172
Cu 3.754 1.472 11.267
Cl 1.893 7.511 13.129
O 4.660 12.220 2.802
Cl 1.893 1.893 7.511
Pb 7.511 0.000 11.000
Cl 7.511 4.848 4.848
Cu 3.754 13.549 3.754
O 12.220 12.220 4.660
O 4.763 0.000 11.828
Cl 7.511 1.893 13.129
Ag 0.000 0.000 7.511